Entry 1:
{
  "formula": "LiMnCoO4",
  "functional": "GGA+U",
  "state": "optimized geometry",
  "magmom_total_mub_per_fu": 7.0,
  "ef_ev_per_atom": -1.703,
  "cell": [[-2.904, 2.960, 4.182], [2.904, -2.960, 4.182], [2.904, 2.960, -4.182]],
  "species": ["Li", "Li", "Mn", "Mn", "Co", "Co", "O", "O", "O", "O", "O", "O", "O", "O"],
  "frac_coords": [[0.000, 0.000, 0.000], [0.500, 0.000, 0.500], [0.500, 0.000, 0.000], [0.500, 0.500, 0.500], [0.000, 0.500, 0.500], [0.500, 0.500, 0.000], [0.269, 0.285, 0.516], [0.269, 0.753, 0.984], [0.281, 0.746, 0.535], [0.288, 0.254, 0.035], [0.712, 0.746, 0.965], [0.719, 0.254, 0.465], [0.731, 0.247, 0.016], [0.731, 0.715, 0.484]]
}

---

Entry 2:
{
  "formula": "MgMn4O8",
  "functional": "GGA+U",
  "state": "optimized geometry",
  "magmom_total_mub_per_fu": 14.0,
  "ef_ev_per_atom": -2.061,
  "cell": [[6.091, 0.000, 0.000], [0.000, 6.086, 0.000], [-5.934, 0.000, 8.162]],
  "species": ["Mg", "Mg", "Mn", "Mn", "Mn", "Mn", "Mn", "Mn", "Mn", "Mn", "O", "O", "O", "O", "O", "O", "O", "O", "O", "O", "O", "O", "O", "O", "O", "O"],
  "frac_coords": [[0.000, 0.249, 0.000], [0.000, 0.751, 0.500], [0.133, 0.238, 0.377], [0.133, 0.762, 0.877], [0.624, 0.001, 0.620], [0.624, 0.999, 0.120], [0.627, 0.244, 0.378], [0.627, 0.495, 0.624], [0.627, 0.505, 0.124], [0.627, 0.756, 0.878], [0.391, 0.222, 0.608], [0.391, 0.778, 0.108], [0.411, 0.458, 0.391], [0.411, 0.542, 0.891], [0.413, 0.242, 0.133], [0.413, 0.758, 0.633], [0.419, 0.021, 0.389], [0.419, 0.979, 0.889], [0.831, 0.231, 0.612], [0.831, 0.769, 0.112], [0.853, 0.023, 0.361], [0.853, 0.472, 0.365], [0.853, 0.528, 0.865], [0.853, 0.977, 0.861], [0.868, 0.237, 0.139], [0.868, 0.763, 0.639]]
}

---

Entry 3:
{
  "formula": "K3V2P3O12",
  "functional": "GGA+U",
  "state": "optimized geometry",
  "magmom_total_mub_per_fu": 4.0,
  "ef_ev_per_atom": -2.646,
  "cell": [[7.733, -4.587, 0.000], [7.733, 4.587, 0.000], [-5.069, 0.000, 7.599]],
  "species": ["K", "K", "K", "K", "K", "K", "V", "V", "V", "V", "P", "P", "P", "P", "P", "P", "O", "O", "O", "O", "O", "O", "O", "O", "O", "O", "O", "O", "O", "O", "O", "O", "O", "O", "O", "O", "O", "O", "O", "O"],
  "frac_coords": [[0.000, 0.500, 0.000], [0.095, 0.255, 0.242], [0.255, 0.095, 0.742], [0.500, 0.000, 0.500], [0.745, 0.905, 0.258], [0.905, 0.745, 0.758], [0.157, 0.650, 0.452], [0.350, 0.843, 0.048], [0.650, 0.157, 0.952], [0.843, 0.350, 0.548], [0.046, 0.954, 0.250], [0.260, 0.454, 0.745], [0.454, 0.260, 0.245], [0.546, 0.740, 0.755], [0.740, 0.546, 0.255], [0.954, 0.046, 0.750], [0.019, 0.126, 0.412], [0.077, 0.787, 0.285], [0.093, 0.416, 0.719], [0.126, 0.019, 0.912], [0.213, 0.923, 0.215], [0.225, 0.483, 0.575], [0.270, 0.628, 0.902], [0.289, 0.428, 0.274], [0.372, 0.730, 0.598], [0.416, 0.093, 0.219], [0.428, 0.289, 0.774], [0.483, 0.225, 0.075], [0.517, 0.775, 0.925], [0.572, 0.711, 0.226], [0.584, 0.907, 0.781], [0.628, 0.270, 0.402], [0.711, 0.572, 0.726], [0.730, 0.372, 0.098], [0.775, 0.517, 0.425], [0.787, 0.077, 0.785], [0.874, 0.981, 0.088], [0.907, 0.584, 0.281], [0.923, 0.213, 0.715], [0.981, 0.874, 0.588]]
}

---

Entry 4:
{
  "formula": "LiV2P3O12",
  "functional": "GGA+U",
  "state": "optimized geometry",
  "magmom_total_mub_per_fu": 2.0,
  "ef_ev_per_atom": -2.647,
  "cell": [[8.505, 0.000, 0.000], [0.000, 8.666, 0.000], [-8.492, 0.000, 11.937]],
  "species": ["Li", "Li", "Li", "Li", "V", "V", "V", "V", "V", "V", "V", "V", "P", "P", "P", "P", "P", "P", "P", "P", "P", "P", "P", "P", "O", "O", "O", "O", "O", "O", "O", "O", "O", "O", "O", "O", "O", "O", "O", "O", "O", "O", "O", "O", "O", "O", "O", "O", "O", "O", "O", "O", "O", "O", "O", "O", "O", "O", "O", "O", "O", "O", "O", "O", "O", "O", "O", "O", "O", "O", "O", "O"],
  "frac_coords": [[0.019, 0.221, 0.321], [0.019, 0.279, 0.821], [0.981, 0.721, 0.179], [0.981, 0.779, 0.679], [0.142, 0.539, 0.386], [0.142, 0.961, 0.886], [0.371, 0.532, 0.119], [0.371, 0.968, 0.619], [0.629, 0.032, 0.381], [0.629, 0.468, 0.881], [0.858, 0.039, 0.114], [0.858, 0.461, 0.614], [0.035, 0.109, 0.643], [0.035, 0.391, 0.143], [0.250, 0.617, 0.646], [0.250, 0.883, 0.146], [0.462, 0.249, 0.493], [0.462, 0.251, 0.993], [0.538, 0.749, 0.007], [0.538, 0.751, 0.507], [0.750, 0.117, 0.854], [0.750, 0.383, 0.354], [0.965, 0.609, 0.857], [0.965, 0.891, 0.357], [0.007, 0.231, 0.180], [0.007, 0.269, 0.680], [0.074, 0.512, 0.232], [0.074, 0.988, 0.732], [0.090, 0.580, 0.664], [0.090, 0.920, 0.164], [0.158, 0.559, 0.966], [0.158, 0.941, 0.466], [0.181, 0.570, 0.528], [0.181, 0.930, 0.028], [0.198, 0.115, 0.628], [0.198, 0.385, 0.128], [0.264, 0.169, 0.930], [0.264, 0.331, 0.430], [0.283, 0.708, 0.166], [0.283, 0.792, 0.666], [0.374, 0.630, 0.434], [0.374, 0.870, 0.934], [0.430, 0.518, 0.731], [0.430, 0.982, 0.231], [0.476, 0.130, 0.574], [0.476, 0.370, 0.074], [0.484, 0.183, 0.404], [0.484, 0.317, 0.904], [0.516, 0.683, 0.096], [0.516, 0.817, 0.596], [0.524, 0.630, 0.926], [0.524, 0.870, 0.426], [0.570, 0.018, 0.769], [0.570, 0.482, 0.269], [0.626, 0.130, 0.066], [0.626, 0.370, 0.566], [0.717, 0.208, 0.334], [0.717, 0.292, 0.834], [0.736, 0.669, 0.570], [0.736, 0.831, 0.070], [0.802, 0.615, 0.872], [0.802, 0.885, 0.372], [0.819, 0.070, 0.972], [0.819, 0.430, 0.472], [0.842, 0.059, 0.534], [0.842, 0.441, 0.034], [0.910, 0.080, 0.836], [0.910, 0.420, 0.336], [0.926, 0.012, 0.268], [0.926, 0.488, 0.768], [0.993, 0.731, 0.320], [0.993, 0.769, 0.820]]
}

---

Entry 5:
{
  "formula": "Li14Co9P16O56",
  "functional": "GGA+U",
  "state": "optimized geometry",
  "magmom_total_mub_per_fu": 23.0,
  "ef_ev_per_atom": -2.454,
  "cell": [[9.626, 0.000, 0.000], [-3.196, 10.262, 0.000], [-1.401, -5.846, 11.012]],
  "species": ["Li", "Li", "Li", "Li", "Li", "Li", "Li", "Li", "Li", "Li", "Li", "Li", "Li", "Li", "Co", "Co", "Co", "Co", "Co", "Co", "Co", "Co", "Co", "P", "P", "P", "P", "P", "P", "P", "P", "P", "P", "P", "P", "P", "P", "P", "P", "O", "O", "O", "O", "O", "O", "O", "O", "O", "O", "O", "O", "O", "O", "O", "O", "O", "O", "O", "O", "O", "O", "O", "O", "O", "O", "O", "O", "O", "O", "O", "O", "O", "O", "O", "O", "O", "O", "O", "O", "O", "O", "O", "O", "O", "O", "O", "O", "O", "O", "O", "O", "O", "O", "O", "O"],
  "frac_coords": [[0.045, 0.468, 0.089], [0.072, 0.460, 0.597], [0.133, 0.819, 0.316], [0.356, 0.376, 0.397], [0.367, 0.659, 0.174], [0.434, 0.041, 0.915], [0.454, 0.035, 0.409], [0.546, 0.965, 0.591], [0.566, 0.959, 0.085], [0.633, 0.341, 0.826], [0.644, 0.624, 0.603], [0.867, 0.181, 0.684], [0.928, 0.540, 0.403], [0.955, 0.532, 0.911], [0.000, 0.000, 0.000], [0.072, 0.062, 0.798], [0.200, 0.801, 0.583], [0.301, 0.702, 0.921], [0.435, 0.441, 0.696], [0.565, 0.559, 0.304], [0.699, 0.298, 0.079], [0.800, 0.199, 0.417], [0.928, 0.938, 0.202], [0.031, 0.724, 0.777], [0.135, 0.185, 0.485], [0.196, 0.406, 0.867], [0.231, 0.548, 0.340], [0.264, 0.954, 0.156], [0.308, 0.096, 0.632], [0.362, 0.314, 0.015], [0.469, 0.777, 0.727], [0.531, 0.223, 0.273], [0.638, 0.686, 0.985], [0.692, 0.904, 0.368], [0.736, 0.046, 0.844], [0.769, 0.452, 0.660], [0.804, 0.594, 0.133], [0.865, 0.815, 0.515], [0.969, 0.276, 0.223], [0.007, 0.237, 0.521], [0.051, 0.887, 0.843], [0.066, 0.257, 0.794], [0.085, 0.669, 0.862], [0.095, 0.058, 0.359], [0.096, 0.684, 0.668], [0.099, 0.929, 0.105], [0.151, 0.365, 0.272], [0.151, 0.597, 0.439], [0.158, 0.515, 0.975], [0.166, 0.120, 0.578], [0.203, 0.602, 0.247], [0.213, 0.183, 0.978], [0.245, 0.022, 0.709], [0.256, 0.483, 0.791], [0.282, 0.315, 0.516], [0.287, 0.898, 0.247], [0.338, 0.379, 0.920], [0.341, 0.902, 0.055], [0.347, 0.134, 0.226], [0.347, 0.986, 0.526], [0.393, 0.570, 0.390], [0.399, 0.443, 0.140], [0.406, 0.823, 0.837], [0.418, 0.831, 0.640], [0.437, 0.246, 0.705], [0.455, 0.618, 0.663], [0.492, 0.262, 0.985], [0.508, 0.738, 0.015], [0.545, 0.382, 0.337], [0.563, 0.754, 0.295], [0.582, 0.169, 0.360], [0.594, 0.177, 0.163], [0.601, 0.557, 0.860], [0.607, 0.430, 0.610], [0.653, 0.014, 0.474], [0.653, 0.866, 0.774], [0.659, 0.098, 0.945], [0.662, 0.621, 0.080], [0.713, 0.102, 0.753], [0.718, 0.685, 0.484], [0.744, 0.517, 0.209], [0.755, 0.978, 0.291], [0.787, 0.817, 0.022], [0.797, 0.398, 0.753], [0.834, 0.880, 0.422], [0.842, 0.485, 0.025], [0.849, 0.403, 0.561], [0.849, 0.635, 0.728], [0.901, 0.071, 0.895], [0.904, 0.316, 0.332], [0.905, 0.942, 0.641], [0.915, 0.331, 0.138], [0.934, 0.743, 0.206], [0.949, 0.113, 0.157], [0.993, 0.763, 0.479]]
}

---

Entry 6:
{
  "formula": "Li11Ti4Mn12O32",
  "functional": "GGA+U",
  "state": "optimized geometry",
  "magmom_total_mub_per_fu": 47.0,
  "ef_ev_per_atom": -2.382,
  "cell": [[5.901, -5.956, 0.000], [5.901, 5.956, 0.000], [-0.009, 0.000, 8.746]],
  "species": ["Li", "Li", "Li", "Li", "Li", "Li", "Li", "Li", "Li", "Li", "Li", "Ti", "Ti", "Ti", "Ti", "Mn", "Mn", "Mn", "Mn", "Mn", "Mn", "Mn", "Mn", "Mn", "Mn", "Mn", "Mn", "O", "O", "O", "O", "O", "O", "O", "O", "O", "O", "O", "O", "O", "O", "O", "O", "O", "O", "O", "O", "O", "O", "O", "O", "O", "O", "O", "O", "O", "O", "O", "O"],
  "frac_coords": [[0.000, 0.000, 0.000], [0.005, 0.250, 0.749], [0.127, 0.620, 0.375], [0.250, 0.246, 0.002], [0.380, 0.873, 0.625], [0.495, 0.244, 0.252], [0.500, 0.500, 0.000], [0.750, 0.995, 0.251], [0.751, 0.249, 0.500], [0.754, 0.750, 0.998], [0.756, 0.505, 0.748], [0.005, 0.995, 0.500], [0.246, 0.754, 0.000], [0.504, 0.256, 0.749], [0.744, 0.496, 0.251], [0.003, 0.496, 0.004], [0.003, 0.747, 0.748], [0.005, 0.252, 0.255], [0.251, 0.247, 0.505], [0.252, 0.502, 0.753], [0.253, 0.997, 0.252], [0.496, 0.504, 0.500], [0.498, 0.748, 0.247], [0.504, 0.997, 0.996], [0.748, 0.995, 0.745], [0.753, 0.749, 0.495], [0.755, 0.245, 0.000], [0.000, 0.019, 0.269], [0.017, 0.744, 0.990], [0.021, 0.231, 0.508], [0.237, 0.734, 0.766], [0.239, 0.010, 0.490], [0.241, 0.224, 0.246], [0.244, 0.514, 0.986], [0.256, 0.983, 0.010], [0.266, 0.487, 0.523], [0.266, 0.763, 0.234], [0.268, 0.271, 0.760], [0.486, 0.756, 0.014], [0.487, 0.266, 0.516], [0.500, 0.005, 0.214], [0.513, 0.734, 0.477], [0.515, 0.006, 0.772], [0.515, 0.475, 0.759], [0.518, 0.240, 0.984], [0.525, 0.485, 0.241], [0.729, 0.732, 0.240], [0.734, 0.513, 0.484], [0.736, 0.232, 0.738], [0.746, 0.014, 0.001], [0.760, 0.482, 0.016], [0.768, 0.264, 0.262], [0.769, 0.979, 0.492], [0.776, 0.759, 0.754], [0.981, 0.000, 0.731], [0.986, 0.254, 0.999], [0.990, 0.761, 0.510], [0.994, 0.485, 0.228], [0.995, 0.500, 0.786]]
}